Entry 1:
Na2AlBAs4O14 after structural relaxation. Source: the Materials Project database, functional GGA-PBE.

The structure in extended XYZ format:
```
88
Lattice="-0.165 -5.796 20.303 -3.541 -2.935 -0.867 7.228 -8.168 -2.273" Properties=species:S:1:pos:R:3 pbc="T T T"
Na 3.289 -11.066 18.274
Na 3.774 -12.524 6.882
Na -0.251 -4.376 10.281
Na 0.632 -7.846 4.141
Na 2.891 -9.054 13.023
Na 0.234 -5.834 -1.111
Na -0.737 -5.437 15.797
Na 4.259 -11.462 1.366
Al -0.791 -5.547 2.305
Al 2.799 -10.473 4.118
Al 4.314 -11.353 14.859
Al 0.724 -6.427 13.045
B 1.680 -11.062 10.164
B 1.843 -5.837 6.999
B -1.982 -8.647 17.146
B 5.504 -8.253 0.017
As 2.426 -5.407 1.673
As -2.483 -6.198 12.387
As 1.097 -11.493 15.491
As 2.977 -12.720 12.229
As 0.001 -8.745 10.832
As 6.006 -10.702 4.777
As 3.522 -8.155 6.331
As -0.045 -2.413 1.660
As -0.647 -8.970 14.537
As 3.568 -14.487 15.504
As 0.546 -4.180 4.934
As 4.170 -7.929 2.627
As 3.977 -9.763 9.005
As 3.230 -8.734 -1.687
As -0.454 -7.136 8.159
As 0.292 -8.165 18.851
O 1.683 -4.614 6.167
O 1.645 -2.551 1.580
O 1.127 -2.739 4.228
O -2.875 -7.709 13.135
O -0.258 -2.971 8.325
O 0.595 -8.009 9.330
O 3.318 -11.369 13.203
O 2.396 -14.160 12.935
O 2.415 -7.302 -1.686
O 2.629 -7.154 2.217
O 5.327 -7.652 1.368
O 2.821 -10.125 10.265
O 5.211 -8.322 6.351
O 1.840 -12.286 10.997
O 0.112 -11.790 16.790
O 2.928 -8.891 7.833
O -0.977 -3.622 2.409
O 4.500 -13.278 14.755
O 0.205 -5.531 3.961
O 3.411 -5.110 0.373
O -1.210 -9.818 13.168
O -0.297 -7.310 14.429
O 6.738 -9.093 0.161
O 2.764 -11.488 15.899
O -1.804 -9.247 15.795
O 6.398 -9.191 4.028
O 4.527 -13.168 11.495
O 2.800 -4.521 3.112
O 3.820 -9.590 2.735
O 1.108 -9.598 18.849
O 0.441 -10.419 10.712
O 0.917 -8.117 12.120
O 4.333 -10.913 5.096
O 4.799 -10.984 8.262
O 2.606 -8.783 5.043
O 3.781 -13.929 8.838
O -1.276 -5.916 8.901
O 0.702 -6.774 6.898
O 0.894 -9.745 14.947
O 2.039 -5.444 8.406
O 4.366 -9.097 -0.408
O 0.759 -5.411 1.265
O -0.843 -7.803 17.572
O 1.878 -14.348 15.584
O -1.004 -3.731 5.669
O 4.136 -14.657 17.176
O 5.720 -7.176 -0.967
O 1.484 -11.456 8.757
O -0.613 -2.242 -0.013
O -0.810 -5.986 12.068
O 3.082 -6.480 6.452
O -3.215 -7.806 17.002
O 4.733 -7.081 3.996
O 0.723 -12.379 14.052
O -2.197 -9.723 18.130
O -1.688 -8.577 10.812
```

Properties
The calculation puts the total magnetization at 0.00 Bohr magnetons per cell. Its calculated total energy is -6.265 eV per atom.

***

Entry 2:
La16Cu8O31 after structural relaxation. Source: the Materials Project database, functional GGA-PBE.

The structure in extended XYZ format:
```
55
Lattice="7.052 0.000 0.000 -0.029 11.154 0.000 -2.900 -5.565 10.000" Properties=species:S:1:pos:R:3 pbc="T T T"
La 2.680 5.473 1.792
La -0.621 0.068 3.199
La 2.697 -0.050 1.800
La 5.379 8.282 0.740
La -0.640 5.657 3.191
La 5.426 2.673 0.888
La 0.379 2.710 5.642
La 3.711 2.899 4.394
La 3.671 8.463 4.279
La 0.377 -2.883 5.505
La 1.498 0.202 8.164
La -1.296 2.944 9.324
La 1.525 5.430 8.143
La -1.437 -2.651 9.362
La 4.803 -0.126 6.806
La 4.807 5.552 6.796
Cu 7.014 0.009 0.015
Cu 6.991 5.582 0.018
Cu 1.077 8.369 2.454
Cu 1.094 2.786 2.497
Cu 2.072 -0.005 5.005
Cu 2.051 5.586 4.999
Cu 2.988 -2.786 7.541
Cu 3.179 2.777 7.471
O 0.630 1.394 1.208
O 0.673 6.971 1.171
O 0.394 9.762 1.284
O 0.419 4.175 1.282
O 3.229 3.088 1.328
O 4.794 5.966 1.002
O 4.808 0.326 1.006
O 3.309 8.733 1.602
O 1.449 -1.384 3.776
O 1.449 4.187 3.784
O 1.675 6.972 3.676
O 1.704 1.397 3.701
O -1.599 -2.520 6.732
O -1.705 3.195 6.509
O -0.238 0.403 5.890
O 4.335 5.235 4.076
O 4.369 -0.401 4.132
O -0.216 5.921 5.876
O 5.762 2.464 3.369
O 5.823 8.040 3.514
O 2.350 -1.401 6.352
O 2.443 4.159 6.291
O 2.563 6.978 6.260
O 2.714 1.381 6.206
O -0.555 -0.501 8.969
O -0.611 5.404 8.986
O 0.820 2.578 8.461
O 3.408 -1.426 8.873
O 3.803 1.384 8.670
O 3.533 4.172 8.798
O 3.573 -4.163 8.765
```

Properties
The calculation puts the total magnetization at 0.00 Bohr magnetons per cell. Its calculated total energy is -7.395 eV per atom.

***

Entry 3:
Zn3P2O12 after structural relaxation. Source: the Materials Project database, functional GGA-PBE.

The structure in extended XYZ format:
```
17
Lattice="5.111 0.000 0.000 -0.029 5.964 0.000 -0.853 -1.670 7.410" Properties=species:S:1:pos:R:3 pbc="T T T"
Zn 0.000 0.000 0.000
Zn 0.441 3.628 2.806
Zn 3.788 0.666 4.603
P 3.009 3.634 4.671
P 1.220 0.660 2.739
O 3.408 2.367 5.502
O 0.821 1.926 1.907
O 1.472 3.729 4.501
O 2.757 0.565 2.909
O 3.543 -1.092 5.500
O 0.685 5.386 1.910
O 3.658 3.570 3.285
O 0.570 0.724 4.125
O 3.622 4.504 0.197
O 0.607 -0.211 7.213
O 0.913 3.427 6.753
O 3.316 0.867 0.657
```

Properties
The value obtained for the energy relative to the lowest polymorph listed for this composition is 95 meV per atom. The calculation puts the total magnetization at 8.00 Bohr magnetons per cell. Its calculated total energy is -5.262 eV per atom.

***

Entry 4:
Nb9Ni4Ge after structural relaxation. Source: the Materials Project database, functional GGA-PBE.

The structure in extended XYZ format:
```
28
Lattice="-2.839 -3.742 -1.934 4.542 -8.188 2.503 -6.381 -2.202 6.955" Properties=species:S:1:pos:R:3 pbc="T T T"
Nb -3.049 -8.001 3.278
Nb -1.629 -6.130 4.246
Nb -2.799 -10.723 4.841
Nb -1.880 -3.409 2.683
Nb -1.792 -6.106 1.102
Nb -2.886 -8.026 6.422
Nb -0.152 -7.844 2.056
Nb -4.526 -6.288 5.468
Nb -3.245 -3.500 4.863
Nb -1.434 -10.632 2.661
Nb -6.086 -4.493 4.285
Nb 1.408 -9.639 3.239
Nb -7.336 -7.496 5.258
Nb 2.658 -6.636 2.266
Nb -4.353 -10.656 6.993
Nb -0.325 -3.476 0.531
Nb -1.074 -9.804 7.202
Nb -3.604 -4.328 0.322
Ni -4.610 -2.972 2.511
Ni -3.190 -1.101 3.478
Ni 0.851 -5.965 0.284
Ni 2.271 -4.094 1.251
Ni 0.383 -5.108 2.650
Ni -5.061 -9.024 4.874
Ni -0.774 -8.724 4.673
Ni -3.904 -5.408 2.851
Ge -0.710 -0.936 -0.484
Ge -2.130 -2.807 -1.451
```

Properties
The calculation puts the total magnetization at 0.88 Bohr magnetons per cell. Its calculated total energy is -8.685 eV per atom.

***

Entry 5:
Sm2Si3Pd after structural relaxation. Source: the Materials Project database, functional GGA-PBE.

The structure in extended XYZ format:
```
6
Lattice="5.461 5.401 1.138 0.166 7.303 2.631 -2.250 -7.391 0.776" Properties=species:S:1:pos:R:3 pbc="T T T"
Sm 0.740 1.671 0.496
Sm 1.035 4.646 3.094
Si 3.961 8.943 2.653
Si 3.040 6.864 2.036
Si 3.265 2.753 2.068
Pd 4.195 4.852 2.691
```

Properties
Its calculated total energy is -6.017 eV per atom.

***

Entry 6:
Na2Eu2MgTi3O10 after structural relaxation. Source: the Materials Project database, functional GGA-PBE.

The structure in extended XYZ format:
```
18
Lattice="3.865 0.000 -0.514 -0.068 3.864 -0.514 0.173 0.176 16.087" Properties=species:S:1:pos:R:3 pbc="T T T"
Na 1.183 1.204 8.892
Na 2.787 2.837 6.167
Eu 1.673 1.703 12.574
Eu 2.297 2.338 2.484
Mg 1.898 1.932 -0.514
Ti 0.653 0.664 4.906
Ti 3.317 3.376 10.153
Ti 0.000 0.000 0.000
O 3.409 1.503 10.847
O 1.443 3.436 10.847
O 0.560 2.537 4.212
O 2.527 0.605 4.212
O 3.089 3.144 8.438
O 0.881 0.896 6.621
O 3.709 3.775 13.097
O 1.932 0.000 -0.257
O -0.034 1.932 -0.257
O 0.261 0.266 1.962
```

Properties
The calculation puts the total magnetization at 13.73 Bohr magnetons per cell. Its calculated total energy is -8.069 eV per atom.

***

Entry 7:
Sm5CuPb3 after structural relaxation. Source: the Materials Project database, functional GGA-PBE.

The structure in extended XYZ format:
```
18
Lattice="-4.748 6.535 5.105 -4.343 -4.495 -7.228 -2.125 -4.944 4.352" Properties=species:S:1:pos:R:3 pbc="T T T"
Sm -4.478 -0.818 -3.117
Sm -4.613 2.858 0.994
Sm -5.676 0.386 3.170
Sm -5.541 -3.290 -0.941
Sm -1.733 0.417 2.380
Sm -5.140 1.174 7.078
Sm -1.630 -2.373 -0.741
Sm -4.839 -7.066 -2.135
Sm -7.322 0.288 -0.498
Sm -3.894 -3.192 2.727
Cu 0.000 0.000 0.000
Cu -1.063 -2.472 2.176
Pb -3.436 2.762 4.212
Pb -3.437 -1.171 5.246
Pb -3.189 -3.986 -3.334
Pb -3.280 -5.453 0.458
Pb -4.060 -0.444 0.264
Pb -7.156 -2.460 1.965
```

Properties
The calculation puts the total magnetization at 0.00 Bohr magnetons per cell. Its calculated total energy is -4.807 eV per atom.

***

Entry 8:
SmBi2Se4 after structural relaxation. Source: the Materials Project database, functional GGA-PBE.

The structure in extended XYZ format:
```
28
Lattice="-4.008 0.238 2.131 5.073 3.823 9.116 -2.027 16.063 -5.609" Properties=species:S:1:pos:R:3 pbc="T T T"
Sm -1.299 16.048 3.035
Sm 0.337 4.076 2.602
Sm 2.553 8.526 6.274
Sm -3.515 11.598 -0.636
Bi 0.102 11.961 6.128
Bi -1.064 8.163 -0.490
Bi 2.338 3.221 6.461
Bi -3.300 16.903 -0.823
Bi -1.154 8.506 4.150
Bi 0.192 11.619 1.487
Bi 2.145 18.158 4.429
Bi -3.107 1.966 1.208
Se -1.247 13.111 3.462
Se 0.285 7.013 2.175
Se 3.187 6.027 7.745
Se -4.149 14.097 -2.107
Se -0.072 7.215 6.331
Se -0.890 12.910 -0.693
Se 1.548 15.602 3.592
Se -2.510 4.523 2.046
Se 1.148 10.417 8.267
Se -2.110 9.708 -2.629
Se -0.198 16.569 0.200
Se -0.764 3.555 5.437
Se -0.879 18.921 3.505
Se -0.083 1.203 2.133
Se 1.544 10.322 4.174
Se -2.506 9.803 1.463
```

Properties
The calculation puts the total magnetization at 0.00 Bohr magnetons per cell. Its calculated total energy is -4.565 eV per atom.

***

Entry 9:
Cs3TmO3 after structural relaxation. Source: the Materials Project database, functional GGA-PBE.

The structure in extended XYZ format:
```
28
Lattice="7.599 0.000 0.000 0.000 8.345 0.000 0.000 1.235 12.111" Properties=species:S:1:pos:R:3 pbc="T T T"
Cs 2.570 3.001 0.913
Cs 4.700 8.086 1.883
Cs 6.238 3.414 2.354
Cs 2.439 5.549 3.702
Cs 0.901 0.877 4.173
Cs 6.370 5.962 5.143
Cs 1.229 3.619 6.968
Cs 6.698 8.703 7.939
Cs 5.160 4.032 8.410
Cs 1.360 6.167 9.757
Cs 2.899 1.495 10.228
Cs 5.028 6.579 11.199
Tm 0.641 7.127 0.810
Tm 4.440 1.836 5.246
Tm 3.159 7.745 6.865
Tm 6.958 2.453 11.302
O 2.580 6.366 0.523
O 0.430 0.938 1.052
O 7.180 6.113 2.299
O 3.380 2.850 3.756
O 4.230 8.025 5.004
O 6.379 2.597 5.532
O 1.220 6.984 6.579
O 3.369 1.555 7.107
O 4.218 6.731 8.355
O 0.419 3.468 9.812
O 7.168 8.643 11.060
O 5.019 3.214 11.588
```

Properties
The value obtained for the energy relative to the lowest polymorph listed for this composition is 0 meV per atom. Its calculated total energy is -5.087 eV per atom.

***

Entry 10:
Ho2TiCuO6 after structural relaxation. Source: the Materials Project database, functional GGA-PBE.

The structure in extended XYZ format:
```
10
Lattice="0.000 -3.596 0.000 -3.114 1.798 0.000 0.000 0.000 -11.363" Properties=species:S:1:pos:R:3 pbc="T T T"
Ho -3.114 -1.798 -3.076
Ho -3.114 -1.798 -8.239
Ti -1.038 -1.798 -11.343
Cu -2.076 -0.001 -5.657
O -1.038 -1.798 -1.844
O -2.076 0.000 -7.575
O 0.000 0.000 -11.343
O -3.113 -1.797 -5.657
O -2.076 0.000 -3.741
O -1.038 -1.798 -9.476
```

Properties
The calculation puts the total magnetization at 1.05 Bohr magnetons per cell. Its calculated total energy is -7.804 eV per atom.

***

Entry 11:
FeH8C4S4N6 after structural relaxation. Source: the Materials Project database, functional GGA-PBE.

The structure in extended XYZ format:
```
23
Lattice="3.941 0.000 0.000 -1.592 7.577 0.000 -1.556 -0.962 10.111" Properties=species:S:1:pos:R:3 pbc="T T T"
Fe 0.000 0.000 0.000
H -0.553 2.987 7.109
H 1.346 3.628 3.002
H -0.647 3.124 8.843
H 1.440 3.491 1.268
H 0.506 1.058 6.161
H 0.286 5.557 3.950
H 1.148 -0.163 7.259
H -0.355 6.778 2.852
C -0.487 1.122 2.911
C 1.280 5.493 7.200
C 0.247 1.404 8.177
C 0.545 5.210 1.934
S -1.038 1.831 4.253
S 1.830 4.784 5.858
S 0.452 0.764 9.777
S 0.341 5.851 0.334
N -0.094 0.595 1.915
N 0.887 6.020 8.196
N -0.378 2.571 8.025
N 1.170 4.043 2.086
N 0.692 0.736 7.114
N 0.100 5.878 2.997
```

Properties
The calculation puts the total magnetization at 4.00 Bohr magnetons per cell. Its calculated total energy is -6.152 eV per atom.

***

Entry 12:
ZnCrN2 after structural relaxation. Source: the Materials Project database, functional GGA-PBE.

The structure in extended XYZ format:
```
16
Lattice="5.546 0.000 0.000 0.000 6.375 0.000 0.000 0.000 5.233" Properties=species:S:1:pos:R:3 pbc="T T T"
Zn 3.266 5.602 0.009
Zn 2.280 0.772 2.625
Zn 5.053 2.415 2.625
Zn 0.493 3.959 0.009
Cr 3.189 2.378 5.224
Cr 2.357 3.996 2.608
Cr 5.130 5.566 2.608
Cr 0.416 0.809 5.224
N 3.138 2.479 1.861
N 2.408 3.896 4.478
N 5.181 5.666 4.478
N 0.365 0.709 1.861
N 3.345 5.481 2.062
N 2.201 0.893 4.679
N 4.974 2.294 4.679
N 0.572 4.080 2.062
```

Properties
The calculation puts the total magnetization at 8.00 Bohr magnetons per cell. Its calculated total energy is -7.120 eV per atom.

***

Number 1: calculated formation energy -203.8 kJ/mol of atoms. Number 2: calculated formation energy -285.7 kJ/mol of atoms. Number 3: calculated formation energy -134.6 kJ/mol of atoms. Number 4: calculated formation energy -20.2 kJ/mol of atoms. Number 5: calculated formation energy -83.7 kJ/mol of atoms. Number 6: calculated formation energy -290.4 kJ/mol of atoms. Number 7: calculated formation energy -47.5 kJ/mol of atoms. Number 8: calculated formation energy -101.5 kJ/mol of atoms. Number 9: calculated formation energy -215.9 kJ/mol of atoms. Number 10: calculated formation energy -302.1 kJ/mol of atoms. Number 11: calculated formation energy -27.7 kJ/mol of atoms. Number 12: calculated formation energy -39.0 kJ/mol of atoms.